1.
Below is a relaxed CuBSe2 crystal, with properties calculated at the PBE level.

Formation energy   -134 kJ/mol of formula units
Space-group type   I-42d, No. 122
Calculated total energy   -0.1673 Ha/atom

a b c (Å): 6.149 6.149 6.149
angles (deg): 128.66 128.66 75.56
Atoms (fractional coordinates):
Cu 0.000 0.000 0.000
Cu 0.750 0.250 0.500
B 0.250 0.750 0.500
B 0.500 0.500 0.000
Se 0.172 0.125 0.547
Se 0.375 0.828 0.953
Se 0.578 0.625 0.453
Se 0.875 0.422 0.047

2.
Below is a relaxed DyB2 crystal, with properties calculated at the PBE level.

Formation energy   -162 kJ/mol of formula units
Space-group type   P6/mmm, No. 191
Calculated total energy   -0.2407 Ha/atom

a b c (Å): 3.298 3.298 3.863
angles (deg): 90.00 90.00 120.00
Atoms (fractional coordinates):
Dy 0.000 0.000 0.000
B 0.333 0.667 0.500
B 0.667 0.333 0.500

3.
Below is a relaxed DyB6 crystal, with properties calculated at the PBE level.

Formation energy   -270 kJ/mol of formula units
Space-group type   Pm-3m, No. 221
Calculated total energy   -0.2493 Ha/atom

a b c (Å): 4.095 4.095 4.095
angles (deg): 90.00 90.00 90.00
Atoms (fractional coordinates):
Dy 0.000 0.000 0.000
B 0.199 0.500 0.500
B 0.500 0.199 0.500
B 0.500 0.500 0.199
B 0.500 0.500 0.801
B 0.500 0.801 0.500
B 0.801 0.500 0.500

4.
Below is a relaxed DyErFe14B crystal, with properties calculated at the PBE level.

Formation energy   -183 kJ/mol of formula units
Space-group type   P4_2/mnm, No. 136
Calculated total energy   -0.2947 Ha/atom

a b c (Å): 8.720 8.720 11.926
angles (deg): 90.00 90.00 90.00
Atoms (fractional coordinates):
Dy 0.233 0.233 0.000
Dy 0.267 0.733 0.500
Dy 0.733 0.267 0.500
Dy 0.767 0.767 0.000
Er 0.142 0.142 0.500
Er 0.358 0.642 0.000
Er 0.642 0.358 0.000
Er 0.858 0.858 0.500
Fe 0.000 0.000 0.114
Fe 0.000 0.000 0.886
Fe 0.000 0.500 0.000
Fe 0.000 0.500 0.500
Fe 0.037 0.641 0.325
Fe 0.037 0.641 0.675
Fe 0.067 0.724 0.126
Fe 0.067 0.724 0.874
Fe 0.097 0.903 0.298
Fe 0.097 0.903 0.702
Fe 0.141 0.463 0.175
Fe 0.141 0.463 0.825
Fe 0.183 0.183 0.246
Fe 0.183 0.183 0.754
Fe 0.224 0.433 0.374
Fe 0.224 0.433 0.626
Fe 0.276 0.933 0.126
Fe 0.276 0.933 0.874
Fe 0.317 0.683 0.254
Fe 0.317 0.683 0.746
Fe 0.359 0.963 0.325
Fe 0.359 0.963 0.675
Fe 0.403 0.403 0.202
Fe 0.403 0.403 0.798
Fe 0.433 0.224 0.374
Fe 0.433 0.224 0.626
Fe 0.463 0.141 0.175
Fe 0.463 0.141 0.825
Fe 0.500 0.000 0.000
Fe 0.500 0.000 0.500
Fe 0.500 0.500 0.386
Fe 0.500 0.500 0.614
Fe 0.537 0.859 0.175
Fe 0.537 0.859 0.825
Fe 0.567 0.776 0.374
Fe 0.567 0.776 0.626
Fe 0.597 0.597 0.202
Fe 0.597 0.597 0.798
Fe 0.641 0.037 0.325
Fe 0.641 0.037 0.675
Fe 0.683 0.317 0.254
Fe 0.683 0.317 0.746
Fe 0.724 0.067 0.126
Fe 0.724 0.067 0.874
Fe 0.776 0.567 0.374
Fe 0.776 0.567 0.626
Fe 0.817 0.817 0.246
Fe 0.817 0.817 0.754
Fe 0.859 0.537 0.175
Fe 0.859 0.537 0.825
Fe 0.903 0.097 0.298
Fe 0.903 0.097 0.702
Fe 0.933 0.276 0.126
Fe 0.933 0.276 0.874
Fe 0.963 0.359 0.325
Fe 0.963 0.359 0.675
B 0.128 0.872 0.000
B 0.372 0.372 0.500
B 0.628 0.628 0.500
B 0.872 0.128 0.000